This record from the Materials Project database describes a relaxed Sr2EuVO6 crystal. The functional is PBE with a Hubbard U.

Values from the calculation:
Its calculated formation energy is -280.0 kJ/mol of atoms.

Unit cell a=8.294 b=8.294 c=8.294 alpha=90.00 beta=90.00 gamma=90.00
Space group Fm-3m (No. 225)
Symmetry-distinct sites (fractional):
Sr: 0.250 0.250 0.250 (multiplicity 8)
Eu: 0.000 0.000 0.000 (multiplicity 4)
V: 0.000 0.000 0.500 (multiplicity 4)
O: 0.000 0.000 0.271 (multiplicity 24)